Computed, not measured: YTi2S4 after structural relaxation at the PBE level of DFT.

a = 7.2712 Å, b = 7.2712 Å, c = 7.2712 Å
α = 120.48°, β = 118.07°, γ = 91.27°
Fractional coordinates of all 14 atoms:
Y: 0.0000 0.0000 0.0000
Y: 0.5000 0.0000 0.5000
Ti: 0.0000 0.5000 0.5000
Ti: 0.5000 0.0000 0.0000
Ti: 0.5000 0.5000 0.0000
Ti: 0.5000 0.5000 0.5000
S: 0.2490 0.2671 0.5181
S: 0.2490 0.7309 0.9819
S: 0.2544 0.7392 0.5152
S: 0.2760 0.2608 0.0152
S: 0.7240 0.7392 0.9848
S: 0.7456 0.2608 0.4848
S: 0.7510 0.2691 0.0181
S: 0.7510 0.7329 0.4819

Summary:
E_tot, eV for the cell shown: -99.64
Formation energy, eV/f.u.: -13.03
ΔE to the lowest computed polymorph, kJ/mol of atoms: 0.0

***

Computed, not measured: RbZnP2O9 after structural relaxation at the PBE level of DFT.

a = 7.2319 Å, b = 7.7111 Å, c = 7.9590 Å
α = 86.94°, β = 66.75°, γ = 79.04°
Fractional coordinates of all 26 atoms:
Rb: 0.2201 0.1617 0.2863
Rb: 0.7799 0.8383 0.7137
Zn: 0.2466 0.7339 0.9614
Zn: 0.7534 0.2661 0.0386
P: 0.1804 0.1001 0.7866
P: 0.4537 0.6141 0.2470
P: 0.5463 0.3859 0.7530
P: 0.8196 0.8999 0.2134
O: 0.0493 0.2361 0.9435
O: 0.0717 0.0457 0.6779
O: 0.1651 0.4889 0.6386
O: 0.2456 0.5623 0.3582
O: 0.3236 0.9591 0.8429
O: 0.3436 0.2139 0.6161
O: 0.3573 0.5310 0.7821
O: 0.4554 0.6996 0.0686
O: 0.4593 0.7703 0.3810
O: 0.5407 0.2297 0.6190
O: 0.5446 0.3004 0.9314
O: 0.6427 0.4690 0.2179
O: 0.6564 0.7861 0.3839
O: 0.6764 0.0409 0.1571
O: 0.7544 0.4377 0.6418
O: 0.8349 0.5111 0.3614
O: 0.9283 0.9543 0.3221
O: 0.9507 0.7639 0.0565

Summary:
E_tot, eV for the cell shown: -150.55
Formation energy, eV/f.u.: -19.12

***

Computed, not measured: Nd2AlNi2 after structural relaxation at the PBE level of DFT.

a = 5.5600 Å, b = 5.5600 Å, c = 5.5600 Å
α = 135.28°, β = 120.57°, γ = 77.34°
Fractional coordinates of all 5 atoms:
Nd: 0.2048 0.2048 0.0000
Nd: 0.7952 0.7952 0.0000
Al: 0.5000 0.0000 0.5000
Ni: 0.2327 0.5000 0.7327
Ni: 0.7673 0.5000 0.2673

Summary:
E_tot, eV for the cell shown: -27.03
Formation energy, eV/f.u.: -2.19

***

Computed, not measured: Li2CuSiO4 after structural relaxation at the PBE level of DFT.

a = 5.1353 Å, b = 10.8760 Å, c = 7.8637 Å
α = 90.00°, β = 128.42°, γ = 90.00°
Fractional coordinates of all 32 atoms:
Li: 0.0374 0.0727 0.2442
Li: 0.0374 0.4273 0.7442
Li: 0.1804 0.1630 0.9924
Li: 0.1804 0.3370 0.4924
Li: 0.8196 0.6630 0.5076
Li: 0.8196 0.8370 0.0076
Li: 0.9626 0.5727 0.2558
Li: 0.9626 0.9273 0.7558
Cu: 0.3242 0.6676 0.0108
Cu: 0.3242 0.8324 0.5108
Cu: 0.6758 0.1676 0.4892
Cu: 0.6758 0.3324 0.9892
Si: 0.4354 0.0904 0.7447
Si: 0.4354 0.4096 0.2447
Si: 0.5646 0.5904 0.7553
Si: 0.5646 0.9096 0.2553
O: 0.1122 0.0895 0.7412
O: 0.1122 0.4105 0.2412
O: 0.2423 0.6592 0.5339
O: 0.2423 0.8408 0.0339
O: 0.3218 0.1650 0.5236
O: 0.3218 0.3350 0.0236
O: 0.4402 0.0503 0.2496
O: 0.4402 0.4497 0.7496
O: 0.5598 0.5503 0.2504
O: 0.5598 0.9497 0.7504
O: 0.6782 0.6650 0.9764
O: 0.6782 0.8350 0.4764
O: 0.7577 0.1592 0.9661
O: 0.7577 0.3408 0.4661
O: 0.8878 0.5895 0.7588
O: 0.8878 0.9105 0.2588

Summary:
E_tot, eV for the cell shown: -196.23
Formation energy, eV/f.u.: -18.67
ΔE to the lowest computed polymorph, kJ/mol of atoms: 0.9

***

Computed, not measured: Ca2Al4Si8O33 after structural relaxation at the PBE level of DFT.

a = 10.0417 Å, b = 10.0417 Å, c = 7.5373 Å
α = 104.72°, β = 104.72°, γ = 82.90°
Fractional coordinates of all 47 atoms:
Ca: 0.2382 0.2382 0.2196
Ca: 0.7618 0.7618 0.7804
Al: 0.0668 0.6750 0.7709
Al: 0.3250 0.9332 0.2291
Al: 0.6750 0.0668 0.7709
Al: 0.9332 0.3250 0.2291
Si: 0.0405 0.8038 0.1875
Si: 0.1174 0.3524 0.6435
Si: 0.1962 0.9595 0.8125
Si: 0.3524 0.1174 0.6435
Si: 0.6476 0.8826 0.3565
Si: 0.8038 0.0405 0.1875
Si: 0.8826 0.6476 0.3565
Si: 0.9595 0.1962 0.8125
O: 0.0166 0.6991 0.3109
O: 0.0210 0.2663 0.0394
O: 0.0498 0.0498 0.7580
O: 0.0903 0.3312 0.4128
O: 0.1460 0.5101 0.7530
O: 0.1741 0.7982 0.7740
O: 0.2018 0.8259 0.2260
O: 0.2546 0.2546 0.7140
O: 0.2663 0.0210 0.0394
O: 0.3009 0.9834 0.6891
O: 0.3312 0.0903 0.4128
O: 0.3344 0.4293 0.1177
O: 0.4208 0.5792 0.5000
O: 0.4293 0.3344 0.1177
O: 0.4391 0.4391 0.5388
O: 0.4899 0.8540 0.2470
O: 0.5000 0.5000 0.0000
O: 0.5101 0.1460 0.7530
O: 0.5609 0.5609 0.4612
O: 0.5707 0.6656 0.8823
O: 0.5792 0.4208 0.5000
O: 0.6656 0.5707 0.8823
O: 0.6688 0.9097 0.5872
O: 0.6991 0.0166 0.3109
O: 0.7337 0.9790 0.9606
O: 0.7454 0.7454 0.2860
O: 0.7982 0.1741 0.7740
O: 0.8259 0.2018 0.2260
O: 0.8540 0.4899 0.2470
O: 0.9097 0.6688 0.5872
O: 0.9502 0.9502 0.2420
O: 0.9790 0.7337 0.9606
O: 0.9834 0.3009 0.6891

Summary:
E_tot, eV for the cell shown: -328.12
Formation energy, eV/f.u.: -107.75
ΔE to the lowest computed polymorph, kJ/mol of atoms: 5.9

***

Computed, not measured: KSrCeBiO6 after structural relaxation at the PBE level of DFT.

a = 6.1315 Å, b = 6.1315 Å, c = 6.1315 Å
α = 60.00°, β = 60.00°, γ = 60.00°
Fractional coordinates of all 10 atoms:
K: 0.0000 0.0000 0.0000
Sr: 0.5000 0.5000 0.5000
Ce: 0.2500 0.2500 0.2500
Bi: 0.7500 0.7500 0.7500
O: 0.5047 0.5047 0.9953
O: 0.5047 0.9953 0.5047
O: 0.5047 0.9953 0.9953
O: 0.9953 0.5047 0.5047
O: 0.9953 0.5047 0.9953
O: 0.9953 0.9953 0.5047

Summary:
E_tot, eV for the cell shown: -63.97
Formation energy, eV/f.u.: -25.78
ΔE to the lowest computed polymorph, kJ/mol of atoms: 2.6

***

- What is the formula in the second record?
  RbZnP2O9